Density functional theory data (PBE) for crystalline ZrMn3 at its relaxed geometry.

Unit cell a=5.5600 b=5.5600 c=4.3768 alpha=90.00 beta=90.00 gamma=120.00
Space group P6_3/mmc (No. 194)
Asymmetric unit:
Zr 0.3333 0.6667 0.2500 x2
Mn 0.1488 0.2976 0.7500 x6

Computed properties:
- Volume: 14.65 Å³ per atom
- Calculated formation energy: 0.146 eV/atom
- VASP energy: -8.86 eV/atom
- Crystal system: hexagonal

---

Density functional theory data (PBE) for crystalline Ho2TiO5 at its relaxed geometry.

Unit cell a=10.4451 b=3.7158 c=11.2414 alpha=90.00 beta=90.00 gamma=90.00
Space group Pnma (No. 62)
Asymmetric unit:
Ho 0.1122 0.2500 0.2236 x4
Ho 0.1359 0.2500 0.5568 x4
Ti 0.1780 0.2500 0.8793 x4
O 0.0069 0.7500 0.6042 x4
O 0.0115 0.2500 0.8410 x4
O 0.2257 0.2500 0.0433 x4
O 0.2373 0.7500 0.2282 x4
O 0.2400 0.7500 0.8829 x4

Computed properties:
- Volume: 13.63 Å³ per atom
- Calculated formation energy: -3.894 eV/atom
- Excess energy over the best structure of this formula in the dataset: 0.0 kJ/mol of atoms
- VASP energy: -8.69 eV/atom
- Crystal system: orthorhombic

---

Density functional theory data (PBE) for crystalline BaY2F8 at its relaxed geometry.

Unit cell a=5.4261 b=5.4261 c=13.5654 alpha=90.00 beta=90.00 gamma=90.00
Space group I-4 (No. 82)
Asymmetric unit:
Ba 0.0000 0.0000 0.0000 x2
Y 0.0000 0.0000 0.3139 x4
F 0.1795 0.7737 0.5818 x8
F 0.1966 0.2151 0.1931 x8

Computed properties:
- Volume: 18.15 Å³ per atom
- Calculated formation energy: -4.306 eV/atom
- Excess energy over the best structure of this formula in the dataset: 7.3 kJ/mol of atoms
- VASP energy: -6.71 eV/atom
- Crystal system: tetragonal

---

> Which of these has the lowest VASP energy?

ZrMn3